[1]
First-principles (GGA-PBE) data for PmAlCu2 after structural relaxation, as listed in the Materials Project.

```
PmAlCu2
1.0
0.0000 3.2791 3.2791
3.2791 0.0000 3.2791
3.2791 3.2791 0.0000
Pm Al Cu
1 1 2
direct
0.0000 0.0000 0.0000 Pm
0.5000 0.5000 0.5000 Al
0.2500 0.2500 0.2500 Cu
0.7500 0.7500 0.7500 Cu
```

- DFT total energy (eV per atom) = -4.47



[2]
First-principles (GGA-PBE) data for Na2Ti2F7 after structural relaxation, as listed in the Materials Project.

```
Na2Ti2F7
1.0
6.4871 -3.7606 0.0000
6.4871 3.7606 0.0000
-4.3878 0.0000 24.5882
Na Ti F
16 16 56
direct
0.0000 0.0000 0.0000 Na
0.0000 0.0000 0.5000 Na
0.0000 0.5000 0.0000 Na
0.1162 0.1334 0.8793 Na
0.1334 0.1162 0.3793 Na
0.2096 0.7904 0.7500 Na
0.2140 0.2819 0.7546 Na
0.2819 0.2140 0.2546 Na
0.5000 0.0000 0.5000 Na
0.5000 0.5000 0.0000 Na
0.5000 0.5000 0.5000 Na
0.7181 0.7860 0.7454 Na
0.7860 0.7181 0.2454 Na
0.7904 0.2096 0.2500 Na
0.8666 0.8838 0.6207 Na
0.8838 0.8666 0.1207 Na
0.0000 0.5000 0.5000 Ti
0.1115 0.6349 0.8744 Ti
0.1409 0.6136 0.3743 Ti
0.2504 0.7496 0.2500 Ti
0.3651 0.8885 0.6256 Ti
0.3809 0.3861 0.6291 Ti
0.3861 0.3809 0.1291 Ti
0.3864 0.8591 0.1257 Ti
0.5000 0.0000 0.0000 Ti
0.6136 0.1409 0.8743 Ti
0.6139 0.6191 0.8709 Ti
0.6191 0.6139 0.3709 Ti
0.6349 0.1115 0.3744 Ti
0.7496 0.2504 0.7500 Ti
0.8591 0.3864 0.6257 Ti
0.8885 0.3651 0.1256 Ti
0.0335 0.1363 0.7908 F
0.0431 0.6301 0.7923 F
0.0536 0.0768 0.6095 F
0.0768 0.0536 0.1095 F
0.0777 0.4755 0.1129 F
0.1019 0.4400 0.6458 F
0.1209 0.6376 0.2936 F
0.1363 0.0335 0.2908 F
0.1372 0.1985 0.4703 F
0.1520 0.5766 0.4541 F
0.1764 0.6394 0.9566 F
0.1985 0.1372 0.9703 F
0.2585 0.6994 0.6429 F
0.2662 0.4223 0.5494 F
0.2977 0.6441 0.0942 F
0.3006 0.7415 0.8571 F
0.3020 0.3217 0.8585 F
0.3217 0.3020 0.3585 F
0.3559 0.7023 0.4058 F
0.3606 0.8236 0.5434 F
0.3624 0.8791 0.2064 F
0.3681 0.4517 0.2122 F
0.3699 0.9569 0.7077 F
0.4223 0.2662 0.0494 F
0.4234 0.8480 0.0459 F
0.4400 0.1019 0.1458 F
0.4517 0.3681 0.7122 F
0.4755 0.0777 0.6129 F
0.5245 0.9223 0.3871 F
0.5483 0.6319 0.2878 F
0.5600 0.8981 0.8542 F
0.5766 0.1520 0.9541 F
0.5777 0.7338 0.9506 F
0.6301 0.0431 0.2923 F
0.6319 0.5483 0.7878 F
0.6376 0.1209 0.7936 F
0.6394 0.1764 0.4566 F
0.6441 0.2977 0.5942 F
0.6783 0.6980 0.6415 F
0.6980 0.6783 0.1415 F
0.6994 0.2585 0.1429 F
0.7023 0.3559 0.9058 F
0.7338 0.5777 0.4506 F
0.7415 0.3006 0.3571 F
0.8015 0.8628 0.0297 F
0.8236 0.3606 0.0434 F
0.8480 0.4234 0.5459 F
0.8628 0.8015 0.5297 F
0.8637 0.9665 0.7092 F
0.8791 0.3624 0.7064 F
0.8981 0.5600 0.3542 F
0.9223 0.5245 0.8871 F
0.9232 0.9464 0.8905 F
0.9464 0.9232 0.3905 F
0.9569 0.3699 0.2077 F
0.9665 0.8637 0.2092 F
```

- DFT total energy (eV per atom) = -5.87



[3]
First-principles (GGA-PBE) data for Tm2Co17 after structural relaxation, as listed in the Materials Project.

```
Tm2Co17
1.0
8.2671 0.0000 0.0000
-4.1335 7.1595 0.0000
0.0000 0.0000 8.0595
Tm Co
4 34
direct
0.0000 0.0000 0.2500 Tm
0.0000 0.0000 0.7500 Tm
0.3333 0.6667 0.2500 Tm
0.6667 0.3333 0.7500 Tm
0.0000 0.5000 0.0000 Co
0.0000 0.5000 0.5000 Co
0.0469 0.3743 0.7500 Co
0.0469 0.6725 0.7500 Co
0.1665 0.3330 0.0249 Co
0.1665 0.3330 0.4751 Co
0.1665 0.8335 0.0249 Co
0.1665 0.8335 0.4751 Co
0.3275 0.3743 0.7500 Co
0.3275 0.9531 0.7500 Co
0.3330 0.1665 0.5249 Co
0.3330 0.1665 0.9751 Co
0.3333 0.6667 0.6063 Co
0.3333 0.6667 0.8937 Co
0.3743 0.0469 0.2500 Co
0.3743 0.3275 0.2500 Co
0.5000 0.0000 0.0000 Co
0.5000 0.0000 0.5000 Co
0.5000 0.5000 0.0000 Co
0.5000 0.5000 0.5000 Co
0.6257 0.6725 0.7500 Co
0.6257 0.9531 0.7500 Co
0.6667 0.3333 0.1063 Co
0.6667 0.3333 0.3937 Co
0.6670 0.8335 0.0249 Co
0.6670 0.8335 0.4751 Co
0.6725 0.0469 0.2500 Co
0.6725 0.6257 0.2500 Co
0.8335 0.1665 0.5249 Co
0.8335 0.1665 0.9751 Co
0.8335 0.6670 0.5249 Co
0.8335 0.6670 0.9751 Co
0.9531 0.3275 0.2500 Co
0.9531 0.6257 0.2500 Co
```

- DFT total energy (eV per atom) = -6.94



[4]
First-principles (GGA-PBE) data for Ba3BiAs after structural relaxation, as listed in the Materials Project.

```
Ba3BiAs
1.0
6.2477 0.0000 0.0000
0.0000 6.2477 0.0000
0.0000 0.0000 6.2477
Ba Bi As
3 1 1
direct
0.0000 0.0000 0.5000 Ba
0.0000 0.5000 0.0000 Ba
0.5000 0.0000 0.0000 Ba
0.5000 0.5000 0.5000 Bi
0.0000 0.0000 0.0000 As
```

- polymorph energy (0 for the lowest one) (meV per atom) = 0
- DFT total energy (eV per atom) = -3.69



Number 1: energy of formation from the pure elements -0.2929 eV/atom. Number 2: energy of formation from the pure elements -3.2712 eV/atom. Number 3: energy of formation from the pure elements -0.1101 eV/atom. Number 4: energy of formation from the pure elements -0.8265 eV/atom.